1.
First-principles (GGA-PBE) data for crystalline HoMgTl at its relaxed geometry, as listed in the Materials Project database.

## Properties
**Formation energy**: -0.312 eV per atom
**Total DFT energy (no corrections)**: -3.160 eV/atom

abc: 7.5200 7.5200 4.6856
angles: 90.00 90.00 120.00
Space group P-62m (No. 189)
Inequivalent atoms, fractional coordinates:
Ho1 0.0000 0.5718 0.0000 [3 per cell]
Mg1 0.0000 0.2442 0.5000 [3 per cell]
Tl1 0.0000 0.0000 0.0000 [1 per cell]
Tl2 0.3333 0.6667 0.5000 [2 per cell]



2.
First-principles (GGA-PBE) data for crystalline HoTmMg2 at its relaxed geometry, as listed in the Materials Project database.

## Properties
**Formation energy**: -0.063 eV per atom
**Total DFT energy (no corrections)**: -3.128 eV/atom

abc: 7.530 7.530 7.530
angles: 90.00 90.00 90.00
Space group Fm-3m (No. 225)
Inequivalent atoms, fractional coordinates:
Ho1 0.000 0.000 0.000 [4 per cell]
Tm1 0.000 0.000 0.500 [4 per cell]
Mg1 0.250 0.250 0.250 [8 per cell]



3.
First-principles (GGA-PBE) data for crystalline Ho13Mg4Zn54 at its relaxed geometry, as listed in the Materials Project database.

## Properties
**Formation energy**: -0.307 eV per atom
**Total DFT energy (no corrections)**: -2.194 eV/atom

abc: 14.3827 14.3827 13.9476
angles: 90.00 90.00 120.00
Space group P6_3/mmc (No. 194)
Inequivalent atoms, fractional coordinates:
Ho1 0.0000 0.0000 0.0000 [2 per cell]
Ho2 0.0837 0.5419 0.2500 [6 per cell]
Ho3 0.1259 0.2517 0.2500 [6 per cell]
Ho4 0.2066 0.4131 0.5536 [12 per cell]
Mg1 0.0000 0.5000 0.0000 [6 per cell]
Mg2 0.3333 0.6667 0.2500 [2 per cell]
Zn1 0.0000 0.0000 0.2500 [2 per cell]
Zn2 0.0000 0.2001 0.0000 [12 per cell]
Zn3 0.0357 0.3608 0.1031 [24 per cell]
Zn4 0.0829 0.3642 0.7500 [12 per cell]
Zn5 0.0952 0.1904 0.6570 [12 per cell]
Zn6 0.1281 0.5641 0.6478 [12 per cell]
Zn7 0.2078 0.6039 0.0539 [12 per cell]
Zn8 0.2328 0.4655 0.1571 [12 per cell]
Zn9 0.2690 0.5380 0.7500 [6 per cell]
Zn10 0.3333 0.6667 0.5980 [4 per cell]



4.
First-principles (GGA-PBE) data for crystalline HoMgZn2 at its relaxed geometry, as listed in the Materials Project database.

## Properties
**Formation energy**: -0.341 eV per atom
**Total DFT energy (no corrections)**: -2.516 eV/atom

abc: 6.825 6.825 6.825
angles: 90.00 90.00 90.00
Space group Fm-3m (No. 225)
Inequivalent atoms, fractional coordinates:
Ho1 0.000 0.000 0.000 [4 per cell]
Mg1 0.000 0.000 0.500 [4 per cell]
Zn1 0.250 0.250 0.250 [8 per cell]



5.
First-principles (GGA-PBE) data for crystalline HoMn2 at its relaxed geometry, as listed in the Materials Project database.

## Properties
**Formation energy**: 0.117 eV per atom
**Total DFT energy (no corrections)**: -7.519 eV/atom

abc: 7.200 7.200 7.200
angles: 90.00 90.00 90.00
Space group Fd-3m (No. 227, origin choice 2)
Inequivalent atoms, fractional coordinates:
Ho1 0.125 0.125 0.125 [8 per cell]
Mn1 0.000 0.000 0.500 [16 per cell]



6.
First-principles (GGA-PBE) data for crystalline HoMn12 at its relaxed geometry, as listed in the Materials Project database.

## Properties
**Formation energy**: -0.010 eV per atom
**Total DFT energy (no corrections)**: -8.819 eV/atom

abc: 8.266 8.266 4.695
angles: 90.00 90.00 90.00
Space group I4/mmm (No. 139)
Inequivalent atoms, fractional coordinates:
Ho1 0.000 0.000 0.000 [2 per cell]
Mn1 0.000 0.229 0.500 [8 per cell]
Mn2 0.000 0.365 0.000 [8 per cell]
Mn3 0.250 0.250 0.250 [8 per cell]



7.
First-principles (GGA-PBE) data for crystalline HoMn2 at its relaxed geometry, as listed in the Materials Project database.

## Properties
**Formation energy**: 0.106 eV per atom
**Total DFT energy (no corrections)**: -7.529 eV/atom

abc: 5.065 8.820 8.414
angles: 90.00 90.00 90.00
Space group Cmcm (No. 63)
Inequivalent atoms, fractional coordinates:
Ho1 0.000 0.167 0.063 [8 per cell]
Mn1 0.000 0.332 0.750 [4 per cell]
Mn2 0.000 0.500 0.000 [4 per cell]
Mn3 0.247 0.084 0.750 [8 per cell]



8.
First-principles (GGA-PBE) data for crystalline Ho4Mn at its relaxed geometry, as listed in the Materials Project database.

## Properties
**Formation energy**: 0.558 eV per atom
**Total DFT energy (no corrections)**: -4.940 eV/atom

abc: 10.380 10.380 10.380
angles: 90.00 90.00 90.00
Space group Fd-3m (No. 227, origin choice 2)
Inequivalent atoms, fractional coordinates:
Ho1 0.012 0.012 0.238 [32 per cell]
Mn1 0.125 0.125 0.625 [8 per cell]



9.
First-principles (GGA-PBE) data for crystalline Ho2MnOs at its relaxed geometry, as listed in the Materials Project database.

## Properties
**Formation energy**: -0.026 eV per atom
**Total DFT energy (no corrections)**: -7.415 eV/atom

abc: 6.912 6.912 6.912
angles: 90.00 90.00 90.00
Space group Fm-3m (No. 225)
Inequivalent atoms, fractional coordinates:
Ho1 0.250 0.250 0.250 [8 per cell]
Mn1 0.000 0.000 0.000 [4 per cell]
Os1 0.000 0.000 0.500 [4 per cell]



10.
First-principles (GGA-PBE) data for crystalline Ho2Mn12P7 at its relaxed geometry, as listed in the Materials Project database.

## Properties
**Formation energy**: -0.712 eV per atom
**Total DFT energy (no corrections)**: -8.188 eV/atom

abc: 9.2930 9.2930 3.5910
angles: 90.00 90.00 120.00
Space group P-6 (No. 174)
Inequivalent atoms, fractional coordinates:
Ho1 0.0000 0.0000 0.0000 [1 per cell]
Ho2 0.3333 0.6667 0.5000 [1 per cell]
Mn1 0.0430 0.2833 0.5000 [3 per cell]
Mn2 0.1016 0.7218 0.0000 [3 per cell]
Mn3 0.4413 0.2108 0.0000 [3 per cell]
Mn4 0.5112 0.4547 0.5000 [3 per cell]
P1 0.0759 0.4582 0.0000 [3 per cell]
P2 0.2559 0.2137 0.5000 [3 per cell]
P3 0.6667 0.3333 0.5000 [1 per cell]



11.
First-principles (GGA-PBE) data for crystalline Pr4Ho2Mn23 at its relaxed geometry, as listed in the Materials Project database.

## Properties
**Formation energy**: 0.167 eV per atom
**Total DFT energy (no corrections)**: -8.075 eV/atom

abc: 8.638 12.112 8.585
angles: 90.00 90.00 90.00
Space group Imm2 (No. 44)
Inequivalent atoms, fractional coordinates:
Pr1 0.000 0.202 0.000 [4 per cell]
Pr2 0.202 0.000 0.206 [4 per cell]
Ho1 0.206 0.000 0.789 [4 per cell]
Mn1 0.000 0.000 0.510 [2 per cell]
Mn2 0.000 0.175 0.641 [4 per cell]
Mn3 0.000 0.178 0.363 [4 per cell]
Mn4 0.000 0.377 0.755 [4 per cell]
Mn5 0.000 0.379 0.248 [4 per cell]
Mn6 0.000 0.500 0.004 [2 per cell]
Mn7 0.000 0.500 0.496 [2 per cell]
Mn8 0.141 0.322 0.500 [8 per cell]
Mn9 0.247 0.379 0.003 [8 per cell]
Mn10 0.249 0.247 0.752 [8 per cell]



12.
First-principles (GGA-PBE) data for crystalline Ho4MnSi7 at its relaxed geometry, as listed in the Materials Project database.

## Properties
**Formation energy**: -0.526 eV per atom
**Total DFT energy (no corrections)**: -6.024 eV/atom

abc: 4.110 3.919 28.880
angles: 90.00 90.00 90.00
Space group Amm2 (No. 38)
Inequivalent atoms, fractional coordinates:
Ho1 0.000 0.000 0.000 [2 per cell]
Ho2 0.000 0.000 0.388 [2 per cell]
Ho3 0.500 0.000 0.121 [2 per cell]
Ho4 0.500 0.000 0.728 [2 per cell]
Mn1 0.500 0.000 0.837 [2 per cell]
Si1 0.000 0.000 0.201 [2 per cell]
Si2 0.000 0.000 0.649 [2 per cell]
Si3 0.000 0.000 0.807 [2 per cell]
Si4 0.500 0.000 0.302 [2 per cell]
Si5 0.500 0.000 0.464 [2 per cell]
Si6 0.500 0.000 0.544 [2 per cell]
Si7 0.500 0.000 0.919 [2 per cell]